Entry 1:
This record from Materials Project describes a relaxed structure of Mn6O5F7. The functional is GGA+U.

Properties
space-group type = No. 1
E (MP2020) = -272.744 eV per cell
energy relative to the elements = -2.403 eV per atom
relative energy among the computed polymorphs = 0.037 eV per atom

Geometry as POSCAR:
```
Mn6O5F7
1.0
4.709 0.000 0.000
-0.165 5.717 0.000
-0.013 -0.070 15.682
Mn O F
12 10 14
direct
0.000 0.000 0.000 Mn
0.000 0.002 0.672 Mn
0.023 0.290 0.501 Mn
0.031 0.285 0.833 Mn
0.490 0.824 0.519 Mn
0.498 0.500 0.675 Mn
0.517 0.480 0.340 Mn
0.521 0.791 0.176 Mn
0.560 0.815 0.843 Mn
0.565 0.480 0.003 Mn
0.965 0.319 0.174 Mn
0.994 0.000 0.334 Mn
0.206 0.029 0.563 O
0.229 0.255 0.390 O
0.235 0.269 0.724 O
0.712 0.765 0.624 O
0.719 0.544 0.122 O
0.724 0.757 0.286 O
0.761 0.765 0.945 O
0.768 0.253 0.278 O
0.805 0.034 0.781 O
0.820 0.249 0.941 O
0.216 0.277 0.065 F
0.235 0.029 0.218 F
0.252 0.535 0.570 F
0.256 0.534 0.233 F
0.261 0.762 0.400 F
0.263 0.782 0.062 F
0.290 0.033 0.899 F
0.293 0.769 0.743 F
0.299 0.523 0.891 F
0.726 0.542 0.458 F
0.747 0.530 0.780 F
0.748 0.036 0.445 F
0.748 0.045 0.110 F
0.750 0.272 0.607 F
```



Entry 2:
This record from Materials Project describes a relaxed structure of VPO5. The functional is GGA+U.

Properties
space-group type = No. 15
E (MP2020) = -225.366 eV per cell
energy relative to the elements = -2.443 eV per atom
relative energy among the computed polymorphs = 0.057 eV per atom

Geometry as POSCAR:
```
VPO5
1.0
6.896 -2.593 0.000
6.896 2.593 0.000
-4.227 0.000 9.402
V P O
4 4 20
direct
0.000 0.500 0.500 V
0.033 0.967 0.750 V
0.500 0.000 0.000 V
0.967 0.033 0.250 V
0.352 0.399 0.307 P
0.399 0.352 0.807 P
0.601 0.648 0.193 P
0.648 0.601 0.693 P
0.055 0.199 0.403 O
0.169 0.714 0.324 O
0.199 0.055 0.903 O
0.241 0.660 0.846 O
0.281 0.359 0.409 O
0.286 0.295 0.652 O
0.286 0.831 0.176 O
0.295 0.286 0.152 O
0.340 0.759 0.654 O
0.359 0.281 0.909 O
0.641 0.719 0.091 O
0.660 0.241 0.346 O
0.705 0.714 0.848 O
0.714 0.169 0.824 O
0.714 0.705 0.348 O
0.719 0.641 0.591 O
0.759 0.340 0.154 O
0.801 0.945 0.097 O
0.831 0.286 0.676 O
0.945 0.801 0.597 O
```